# 1
PBE MgTi, relaxed; calculated formation energy = 0.215 eV/atom; final energy = -4.533 eV per atom; magnetization = 0.00 μB/f.u.; crystal system = hexagonal
1.0
2.8943 0.0000 0.0000
-1.4472 2.5066 0.0000
0.0000 0.0000 5.2589
Mg Ti
1 1
Cartesian
0.0000 0.0000 0.0000
1.4472 0.8355 2.6295

# 2
PBE Mg3Ti, relaxed; calculated formation energy = 0.178 eV/atom; final energy = -2.997 eV per atom; magnetization = 1.58 μB/f.u.; crystal system = orthorhombic
1.0
3.0674 0.0000 0.0000
0.0000 5.0496 0.0000
0.0000 0.0000 5.4746
Mg Ti
3 1
Cartesian
0.0000 0.0000 0.0000
0.0000 2.5248 1.8654
1.5337 0.0000 2.8630
1.5337 2.5248 4.6222

# 3
PBE MgTi, relaxed; calculated formation energy = 0.194 eV/atom; final energy = -4.554 eV per atom; magnetization = 0.64 μB/f.u.; crystal system = orthorhombic
1.0
5.9911 0.0000 0.0000
0.0000 15.9825 0.0000
0.0000 0.0000 4.8527
Mg Ti
12 12
Cartesian
0.7037 2.1705 1.2132
0.7037 5.8207 3.6396
2.2052 10.1649 1.2132
2.2052 13.8088 3.6396
2.2415 3.0544 3.6396
2.2415 4.9368 1.2132
3.7496 11.0456 3.6396
3.7496 12.9281 1.2132
3.7859 2.1737 1.2132
3.7859 5.8176 3.6396
5.2874 10.1617 1.2132
5.2874 13.8119 3.6396
0.7243 0.3898 3.6396
0.7243 7.6014 1.2132
0.7562 11.0887 3.6396
0.7562 12.8850 1.2132
2.2157 8.4307 3.6396
2.2157 15.5430 1.2132
3.7754 0.4395 3.6396
3.7754 7.5517 1.2132
5.2349 3.0975 3.6396
5.2349 4.8937 1.2132
5.2668 8.3810 3.6396
5.2668 15.5927 1.2132

# 4
PBE Mg2Ti, relaxed; calculated formation energy = 0.239 eV/atom; final energy = -3.460 eV per atom; magnetization = 0.74 μB/f.u.; crystal system = orthorhombic
1.0
3.0004 0.0000 0.0000
0.0000 16.1554 0.0000
0.0000 0.0000 5.0838
Mg Ti
8 4
Cartesian
0.0000 0.8919 1.2710
0.0000 4.4856 3.8129
0.0000 11.6698 1.2710
0.0000 15.2635 3.8129
1.5002 3.5921 1.2710
1.5002 7.1858 3.8129
1.5002 8.9696 1.2710
1.5002 12.5633 3.8129
0.0000 6.3319 1.2710
0.0000 9.8235 3.8129
1.5002 1.7458 3.8129
1.5002 14.4096 1.2710

# 5
PBE MgTi, relaxed; calculated formation energy = 0.230 eV/atom; final energy = -4.518 eV per atom; magnetization = 0.58 μB/f.u.; crystal system = monoclinic
1.0
9.1403 0.0000 0.0000
0.0000 5.2279 0.0000
-3.3662 0.0000 4.8594
Mg Ti
6 6
Cartesian
0.0000 0.0000 0.0000
-0.1775 3.4702 2.4121
1.3815 0.8563 2.4473
4.5702 2.6139 0.0000
4.3926 0.8563 2.4121
5.9517 3.4702 2.4473
-1.6831 0.8736 2.4297
1.5617 2.5970 0.0343
-0.3577 5.2109 4.8251
2.8871 3.4876 2.4297
6.1318 5.2109 0.0343
4.2125 2.5970 4.8251

# 6
PBE MgTi, relaxed; calculated formation energy = 0.191 eV/atom; final energy = -4.557 eV per atom; magnetization = 0.60 μB/f.u.; crystal system = orthorhombic
1.0
4.8251 0.0000 0.0000
0.0000 12.5465 0.0000
0.0000 0.0000 5.1740
Mg Ti
8 8
Cartesian
1.2063 1.4913 0.8631
1.2063 3.1366 3.5402
1.2063 4.7819 0.8631
1.2063 9.4099 3.4992
3.6188 3.1366 1.6748
3.6188 7.7646 4.3110
3.6188 9.4099 1.6339
3.6188 11.0552 4.3110
1.2063 6.3036 3.3986
1.2063 7.6560 0.9501
1.2063 11.1638 0.9501
1.2063 12.5162 3.3986
3.6188 0.0304 1.7754
3.6188 1.3827 4.2240
3.6188 4.8906 4.2240
3.6188 6.2429 1.7754

# 7
PBE MgTi5, relaxed; calculated formation energy = 0.103 eV/atom; relative energy among the computed polymorphs = 41.0 meV per atom; final energy = -6.744 eV per atom; magnetization = 0.00 μB/f.u.; crystal system = hexagonal
1.0
5.1120 0.0000 0.0000
-2.5560 4.4271 0.0000
0.0000 0.0000 4.7346
Mg Ti
1 5
Cartesian
0.0000 0.0000 0.0000
-1.7082 2.9587 2.3673
0.8478 1.4685 2.3673
0.0000 2.9514 0.0000
2.5560 1.4757 0.0000
3.4164 0.0000 2.3673

# 8
PBE Mg2Ti, relaxed; calculated formation energy = 0.135 eV/atom; final energy = -3.564 eV per atom; magnetization = 0.01 μB/f.u.; crystal system = monoclinic
1.0
11.5466 0.0000 0.0000
0.0000 2.9601 0.0000
-1.6394 0.0000 7.1509
Mg Ti
8 4
Cartesian
-0.1717 0.0000 2.2310
1.5986 1.4801 0.1654
2.5353 0.0000 6.9854
4.3056 1.4801 4.9199
5.6016 1.4801 2.2310
7.3719 0.0000 0.1654
8.3086 1.4801 6.9854
10.0789 0.0000 4.9199
1.3111 1.4801 4.4276
2.8227 0.0000 2.7233
7.0844 0.0000 4.4276
8.5960 1.4801 2.7233

# 9
PBE MgTi, relaxed; calculated formation energy = 0.123 eV/atom; final energy = -4.625 eV per atom; magnetization = 0.00 μB/f.u.; crystal system = trigonal
1.0
2.9851 0.0000 0.0000
-1.4925 2.5852 0.0000
0.0000 0.0000 15.1477
Mg Ti
3 3
Cartesian
0.0000 0.0000 0.0000
0.0000 0.0000 5.1159
1.4925 0.8617 7.8006
0.0000 0.0000 10.3514
1.4925 0.8617 2.5932
1.4925 0.8617 12.5265

# 10
PBE MgTi, relaxed; calculated formation energy = 0.179 eV/atom; final energy = -4.568 eV per atom; magnetization = 0.39 μB/f.u.; crystal system = orthorhombic
1.0
4.8406 0.0000 0.0000
0.0000 12.2970 0.0000
0.0000 0.0000 5.3223
Mg Ti
8 8
Cartesian
1.2102 0.0027 0.9263
1.2102 1.5912 3.5731
1.2102 4.5573 3.5731
1.2102 6.1458 0.9263
3.6305 12.2944 4.3959
3.6305 6.1512 4.3959
3.6305 7.7397 1.7491
3.6305 10.7058 1.7491
1.2102 3.0743 0.9465
1.2102 7.9316 3.5946
1.2102 9.2228 0.7124
1.2102 10.5139 3.5946
3.6305 1.7831 1.7277
3.6305 3.0743 4.6099
3.6305 4.3654 1.7277
3.6305 9.2228 4.3757

# 11
PBE Mg14TiW, relaxed; calculated formation energy = 0.207 eV/atom; relative energy among the computed polymorphs = 48.2 meV per atom; final energy = -2.497 eV per atom; magnetization = 2.47 μB/f.u.; crystal system = hexagonal
1.0
6.2626 0.0000 0.0000
-3.1313 5.4235 0.0000
0.0000 0.0000 9.9912
Mg Ti W
14 1 1
Cartesian
0.0000 0.0000 2.4803
0.0000 0.0000 7.5109
-1.4963 2.7518 2.5528
-1.4963 2.7518 7.4384
1.5723 0.9078 4.9956
1.5826 0.9137 0.0000
1.4963 2.7518 2.5528
1.4963 2.7518 7.4384
0.0000 5.3434 2.5528
0.0000 5.3434 7.4384
4.6800 0.9137 0.0000
3.1313 3.5961 0.0000
4.6902 0.9078 4.9956
3.1313 3.6080 4.9956
0.0000 3.6157 0.0000
0.0000 3.6157 4.9956

# 12
PBE Mg14TiW, relaxed; calculated formation energy = 0.158 eV/atom; relative energy among the computed polymorphs = 0.0 meV per atom; final energy = -2.545 eV per atom; magnetization = 0.00 μB/f.u.; crystal system = orthorhombic
1.0
10.0440 0.0000 0.0000
0.0000 3.0264 5.5470
0.0000 -3.0264 5.5470
Mg Ti W
14 1 1
Cartesian
0.0000 0.0000 0.0000
0.0000 -1.5067 2.7798
0.0000 1.5067 2.7798
0.0000 0.0000 5.5304
2.5354 0.0000 7.3151
2.6200 0.0000 1.7480
2.6326 -1.5376 4.6301
2.6326 1.5376 4.6301
5.0220 -1.5255 2.7961
5.0220 1.5255 2.7961
7.4114 -1.5376 4.6301
7.4114 1.5376 4.6301
7.4239 0.0000 1.7480
7.5086 0.0000 7.3151
5.0220 0.0000 5.5757
5.0220 0.0000 0.0491

# 13
PBE YMg6Ti, relaxed; calculated formation energy = 0.115 eV/atom; relative energy among the computed polymorphs = 15.7 meV per atom; final energy = -2.880 eV per atom; magnetization = 1.76 μB/f.u.
1.0
-1.0349 2.6131 4.3231
1.0277 -5.3902 3.5041
10.8897 2.7072 0.9706
Y Mg Ti
2 12 2
Cartesian
8.5703 3.5658 2.9715
3.6393 -0.4829 4.2383
6.0839 1.5470 3.5966
6.6017 -1.1686 5.3620
4.7353 -0.1574 1.2288
5.2771 -2.9991 3.0762
7.2131 1.7932 0.6429
1.8874 0.4692 0.1682
1.1529 -2.5017 4.8634
0.6430 0.1729 3.1246
10.6940 -1.4989 3.4661
10.2081 1.0496 1.8094
2.2822 -2.2555 1.9097
7.8461 -0.8723 2.4056
3.1753 2.2246 2.4907
9.1340 0.8831 4.7281

# 14
PBE YMg6Ti, relaxed; calculated formation energy = 0.099 eV/atom; relative energy among the computed polymorphs = 0.0 meV per atom; final energy = -2.896 eV per atom; magnetization = 1.81 μB/f.u.
1.0
-2.0171 3.6375 2.9968
0.2873 -4.0505 5.1098
10.3857 3.7750 2.4085
Y Mg Ti
2 12 2
Cartesian
3.5626 -0.7825 3.3478
8.6119 3.1302 1.9972
0.9434 -0.7418 1.5355
1.0807 -2.6773 3.9772
3.4912 1.2690 0.8096
3.5495 0.3502 6.3489
3.4046 2.3932 3.7716
0.7095 2.4432 1.8968
6.2799 -0.8796 5.2946
6.1299 1.2354 2.6265
8.8277 1.1312 4.5688
8.5987 4.2630 4.9983
8.7411 2.2555 7.5307
6.0460 2.3055 5.6560
0.8574 0.4195 4.4527
5.9066 4.3323 3.1021

# 15
PBE Mg14TiZn, relaxed; calculated formation energy = 0.038 eV/atom; final energy = -1.934 eV per atom; magnetization = 1.03 μB/f.u.; crystal system = hexagonal
1.0
6.3284 0.0000 0.0000
-3.1642 5.4806 0.0000
0.0000 0.0000 10.0309
Mg Ti Zn
14 1 1
Cartesian
0.0000 0.0000 2.4882
0.0000 0.0000 7.5427
-1.5346 2.7677 2.5135
-1.5346 2.7677 7.5174
1.5739 0.9087 5.0155
1.6041 0.9261 0.0000
1.5346 2.7677 2.5135
1.5346 2.7677 7.5174
0.0000 5.4257 2.5135
0.0000 5.4257 7.5174
4.7243 0.9261 0.0000
3.1642 3.6283 0.0000
4.7545 0.9087 5.0155
3.1642 3.6632 5.0155
0.0000 3.6537 0.0000
0.0000 3.6537 5.0155

# 16
PBE Mg14TiZn, relaxed; calculated formation energy = 0.040 eV/atom; final energy = -1.933 eV per atom; magnetization = 1.20 μB/f.u.; crystal system = orthorhombic
1.0
10.0780 0.0000 0.0000
0.0000 3.1384 5.4815
0.0000 -3.1384 5.4815
Mg Ti Zn
14 1 1
Cartesian
0.0000 0.0000 0.0000
0.0000 -1.5631 2.7503
0.0000 0.0000 5.4752
0.0000 1.5631 2.7503
2.5448 0.0000 7.2774
2.5864 0.0000 1.8044
2.6073 -1.5600 4.5949
2.6073 1.5600 4.5949
5.0390 -1.5389 8.2366
5.0390 1.5389 8.2366
7.4706 -1.5600 4.5949
7.4706 1.5600 4.5949
7.4915 0.0000 1.8044
7.5331 0.0000 7.2774
5.0390 0.0000 5.5128
5.0390 0.0000 10.9250

# 17
PBE Mg3Tl, relaxed; calculated formation energy = -0.039 eV/atom; final energy = -1.830 eV per atom; crystal system = hexagonal
1.0
6.4144 0.0000 0.0000
-3.2072 5.5550 0.0000
0.0000 0.0000 5.2560
Mg Tl
6 2
Cartesian
0.0000 1.8326 1.3140
-1.6201 4.6387 1.3140
1.5871 0.9163 3.9420
1.6201 4.6387 1.3140
4.8273 0.9163 3.9420
3.2072 3.7224 3.9420
0.0000 3.7033 3.9420
3.2072 1.8517 1.3140

# 18
PBE Mg3Tl, relaxed; calculated formation energy = -0.037 eV/atom; final energy = -1.827 eV per atom; crystal system = cubic
1.0
4.5193 0.0000 0.0000
0.0000 4.5193 0.0000
0.0000 0.0000 4.5193
Mg Tl
3 1
Cartesian
0.0000 0.0000 2.2596
0.0000 2.2596 0.0000
2.2596 0.0000 0.0000
2.2596 2.2596 2.2596

# 19
PBE Mg3Tl, relaxed; calculated formation energy = -0.025 eV/atom; final energy = -1.816 eV per atom; crystal system = tetragonal
1.0
4.4954 0.0000 0.0000
0.0000 4.4954 0.0000
0.0000 0.0000 9.2178
Mg Tl
6 2
Cartesian
0.0000 0.0000 0.0000
0.0000 2.2477 2.3044
0.0000 2.2477 6.9133
2.2477 0.0000 2.3044
2.2477 0.0000 6.9133
2.2477 2.2477 4.6089
0.0000 0.0000 4.6089
2.2477 2.2477 0.0000

# 20
PBE TmMgTl, relaxed; calculated formation energy = -0.285 eV/atom; final energy = -3.098 eV per atom; crystal system = hexagonal
1.0
7.4758 0.0000 0.0000
-3.7379 6.4742 0.0000
0.0000 0.0000 4.6567
Tm Mg Tl
3 3 3
Cartesian
-2.1361 3.6998 0.0000
1.6018 2.7744 0.0000
4.2722 0.0000 0.0000
-0.9132 1.5818 2.3284
1.8265 0.0000 2.3284
2.8247 4.8925 2.3284
0.0000 0.0000 0.0000
0.0000 4.3162 2.3284
3.7379 2.1581 2.3284

# 21
PBE TmMg5, relaxed; calculated formation energy = 0.034 eV/atom; final energy = -2.045 eV per atom; crystal system = hexagonal
1.0
3.2544 0.0000 0.0000
-1.6272 2.8184 0.0000
0.0000 0.0000 15.8868
Tm Mg
1 5
Cartesian
0.0000 0.0000 0.0000
0.0000 0.0000 5.3754
0.0000 0.0000 10.5114
0.0000 1.8789 2.8009
0.0000 1.8789 7.9434
0.0000 1.8789 13.0859

# 22
PBE Tm3Mg, relaxed; calculated formation energy = -0.015 eV/atom; relative energy among the computed polymorphs = 0.0 meV per atom; final energy = -3.772 eV per atom; crystal system = tetragonal
1.0
3.5285 0.0000 0.0000
0.0000 3.5285 0.0000
0.0000 0.0000 9.1705
Tm Mg
3 1
Cartesian
0.0000 0.0000 0.0000
1.7642 1.7642 2.3758
1.7642 1.7642 6.7947
0.0000 0.0000 4.5853